[1]
! NdInAg2 (GGA-PBE, optimized geometry); values from VASP
! energy relative to the elements: -0.367 eV per atom
! E_tot: -3.66 eV/atom
! space-group type: Fm-3m (225)
&SYSTEM
  ibrav = 0, nat = 16, ntyp = 3
/
ATOMIC_SPECIES
Nd 144.24 Nd.upf
In 114.82 In.upf
Ag 107.87 Ag.upf
CELL_PARAMETERS angstrom
7.155 0.000 0.000
0.000 7.155 0.000
0.000 0.000 7.155
ATOMIC_POSITIONS crystal
Nd 0.000 0.000 0.000
Nd 0.000 0.500 0.500
Nd 0.500 0.000 0.500
Nd 0.500 0.500 0.000
In 0.000 0.000 0.500
In 0.000 0.500 0.000
In 0.500 0.000 0.000
In 0.500 0.500 0.500
Ag 0.250 0.250 0.250
Ag 0.250 0.250 0.750
Ag 0.250 0.750 0.250
Ag 0.250 0.750 0.750
Ag 0.750 0.250 0.250
Ag 0.750 0.250 0.750
Ag 0.750 0.750 0.250
Ag 0.750 0.750 0.750

[2]
! InAgP2Se6 (GGA-PBE, optimized geometry); values from VASP
! energy relative to the elements: -0.505 eV per atom
! E_tot: -3.96 eV/atom
! total energy after the MP2020 corrections: -4.244 eV/atom
! M_tot: 0.00 μB per formula unit
! space-group type: P-31c (163)
&SYSTEM
  ibrav = 0, nat = 20, ntyp = 4
/
ATOMIC_SPECIES
In 114.82 In.upf
Ag 107.87 Ag.upf
P 30.97 P.upf
Se 78.96 Se.upf
CELL_PARAMETERS angstrom
6.589 0.000 0.000
-3.294 5.706 0.000
0.000 0.000 14.511
ATOMIC_POSITIONS crystal
In 0.000 0.000 0.250
In 0.000 0.000 0.750
Ag 0.333 0.667 0.250
Ag 0.667 0.333 0.750
P 0.333 0.667 0.671
P 0.333 0.667 0.829
P 0.667 0.333 0.171
P 0.667 0.333 0.329
Se 0.018 0.339 0.873
Se 0.018 0.679 0.627
Se 0.321 0.339 0.627
Se 0.321 0.982 0.873
Se 0.339 0.018 0.373
Se 0.339 0.321 0.127
Se 0.661 0.679 0.873
Se 0.661 0.982 0.627
Se 0.679 0.018 0.127
Se 0.679 0.661 0.373
Se 0.982 0.321 0.373
Se 0.982 0.661 0.127

[3]
! Pm2InAg (GGA-PBE, optimized geometry); values from VASP
! energy relative to the elements: -0.375 eV per atom
! E_tot: -4.15 eV/atom
! space-group type: Fm-3m (225)
&SYSTEM
  ibrav = 0, nat = 16, ntyp = 3
/
ATOMIC_SPECIES
Pm 145.00 Pm.upf
In 114.82 In.upf
Ag 107.87 Ag.upf
CELL_PARAMETERS angstrom
7.629 0.000 0.000
0.000 7.629 0.000
0.000 0.000 7.629
ATOMIC_POSITIONS crystal
Pm 0.250 0.250 0.250
Pm 0.250 0.250 0.750
Pm 0.250 0.750 0.250
Pm 0.250 0.750 0.750
Pm 0.750 0.250 0.250
Pm 0.750 0.250 0.750
Pm 0.750 0.750 0.250
Pm 0.750 0.750 0.750
In 0.000 0.000 0.000
In 0.000 0.500 0.500
In 0.500 0.000 0.500
In 0.500 0.500 0.000
Ag 0.000 0.000 0.500
Ag 0.000 0.500 0.000
Ag 0.500 0.000 0.000
Ag 0.500 0.500 0.500

[4]
! Pr2InAg (GGA-PBE, optimized geometry); values from VASP
! energy relative to the elements: -0.360 eV per atom
! E_tot: -4.15 eV/atom
! polymorph energy (0 for the lowest one): 0.007 eV/atom
! space-group type: Fm-3m (225)
&SYSTEM
  ibrav = 0, nat = 16, ntyp = 3
/
ATOMIC_SPECIES
Pr 140.91 Pr.upf
In 114.82 In.upf
Ag 107.87 Ag.upf
CELL_PARAMETERS angstrom
7.730 0.000 0.000
0.000 7.730 0.000
0.000 0.000 7.730
ATOMIC_POSITIONS crystal
Pr 0.250 0.250 0.250
Pr 0.250 0.250 0.750
Pr 0.250 0.750 0.250
Pr 0.250 0.750 0.750
Pr 0.750 0.250 0.250
Pr 0.750 0.250 0.750
Pr 0.750 0.750 0.250
Pr 0.750 0.750 0.750
In 0.000 0.000 0.000
In 0.000 0.500 0.500
In 0.500 0.000 0.500
In 0.500 0.500 0.000
Ag 0.000 0.000 0.500
Ag 0.000 0.500 0.000
Ag 0.500 0.000 0.000
Ag 0.500 0.500 0.500

[5]
! Pr2InAg (GGA-PBE, optimized geometry); values from VASP
! energy relative to the elements: -0.368 eV per atom
! E_tot: -4.15 eV/atom
! polymorph energy (0 for the lowest one): 0.000 eV/atom
! space-group type: P4/mmm (123)
&SYSTEM
  ibrav = 0, nat = 4, ntyp = 3
/
ATOMIC_SPECIES
Pr 140.91 Pr.upf
In 114.82 In.upf
Ag 107.87 Ag.upf
CELL_PARAMETERS angstrom
3.812 0.000 0.000
0.000 3.812 0.000
0.000 0.000 7.868
ATOMIC_POSITIONS crystal
Pr 0.000 0.000 0.242
Pr 0.000 0.000 0.758
In 0.500 0.500 0.500
Ag 0.500 0.500 0.000

[6]
! InAgS2 (GGA-PBE, optimized geometry); values from VASP
! largest piezoelectric modulus: 0.27 C/m²
! energy relative to the elements: -0.678 eV per atom
! E_tot: -3.89 eV/atom
! total energy after the MP2020 corrections: -4.142 eV/atom
! space-group type: I-42d (122)
&SYSTEM
  ibrav = 0, nat = 16, ntyp = 3
/
ATOMIC_SPECIES
In 114.82 In.upf
Ag 107.87 Ag.upf
S 32.06 S.upf
CELL_PARAMETERS angstrom
5.929 0.000 0.000
0.000 5.929 0.000
0.000 0.000 11.521
ATOMIC_POSITIONS crystal
In 0.000 0.000 0.000
In 0.000 0.500 0.250
In 0.500 0.000 0.750
In 0.500 0.500 0.500
Ag 0.000 0.000 0.500
Ag 0.000 0.500 0.750
Ag 0.500 0.000 0.250
Ag 0.500 0.500 0.000
S 0.239 0.250 0.125
S 0.250 0.739 0.375
S 0.250 0.761 0.875
S 0.261 0.250 0.625
S 0.739 0.750 0.625
S 0.750 0.239 0.875
S 0.750 0.261 0.375
S 0.761 0.750 0.125

[7]
! InAgS2 (GGA-PBE, optimized geometry); values from VASP
! energy relative to the elements: -0.588 eV per atom
! E_tot: -3.80 eV/atom
! total energy after the MP2020 corrections: -4.052 eV/atom
! M_tot: 0.00 μB per formula unit
! space-group type: R-3m (166)
&SYSTEM
  ibrav = 0, nat = 12, ntyp = 3
/
ATOMIC_SPECIES
In 114.82 In.upf
Ag 107.87 Ag.upf
S 32.06 S.upf
CELL_PARAMETERS angstrom
3.822 0.000 0.000
-1.911 3.310 0.000
0.000 0.000 19.399
ATOMIC_POSITIONS crystal
In 0.000 0.000 0.000
In 0.333 0.667 0.667
In 0.667 0.333 0.333
Ag 0.000 0.000 0.500
Ag 0.333 0.667 0.167
Ag 0.667 0.333 0.833
S 0.000 0.000 0.255
S 0.000 0.000 0.745
S 0.333 0.667 0.411
S 0.333 0.667 0.922
S 0.667 0.333 0.078
S 0.667 0.333 0.589

[8]
! InAgS2 (GGA-PBE, optimized geometry); values from VASP
! energy relative to the elements: -0.595 eV per atom
! E_tot: -3.81 eV/atom
! total energy after the MP2020 corrections: -4.059 eV/atom
! M_tot: 0.00 μB per formula unit
! space-group type: R3m (160)
&SYSTEM
  ibrav = 0, nat = 12, ntyp = 3
/
ATOMIC_SPECIES
In 114.82 In.upf
Ag 107.87 Ag.upf
S 32.06 S.upf
CELL_PARAMETERS angstrom
3.882 0.000 0.000
-1.941 3.362 0.000
0.000 0.000 20.749
ATOMIC_POSITIONS crystal
In 0.000 0.000 0.000
In 0.333 0.667 0.667
In 0.667 0.333 0.333
Ag 0.000 0.000 0.849
Ag 0.333 0.667 0.516
Ag 0.667 0.333 0.182
S 0.000 0.000 0.257
S 0.000 0.000 0.731
S 0.333 0.667 0.398
S 0.333 0.667 0.924
S 0.667 0.333 0.064
S 0.667 0.333 0.591

E_tot of number 5 (Pr2InAg)?
-4.15 eV/atom

What is the formula in the second record?
InAgP2Se6

What did the sixth record say?
! InAgS2 (GGA-PBE, optimized geometry); values from VASP
! largest piezoelectric modulus: 0.27 C/m²
! energy relative to the elements: -0.678 eV per atom
! E_tot: -3.89 eV/atom
! total energy after the MP2020 corrections: -4.142 eV/atom
! space-group type: I-42d (122)
&SYSTEM
  ibrav = 0, nat = 16, ntyp = 3
/
ATOMIC_SPECIES
In 114.82 In.upf
Ag 107.87 Ag.upf
S 32.06 S.upf
CELL_PARAMETERS angstrom
5.929 0.000 0.000
0.000 5.929 0.000
0.000 0.000 11.521
ATOMIC_POSITIONS crystal
In 0.000 0.000 0.000
In 0.000 0.500 0.250
In 0.500 0.000 0.750
In 0.500 0.500 0.500
Ag 0.000 0.000 0.500
Ag 0.000 0.500 0.750
Ag 0.500 0.000 0.250
Ag 0.500 0.500 0.000
S 0.239 0.250 0.125
S 0.250 0.739 0.375
S 0.250 0.761 0.875
S 0.261 0.250 0.625
S 0.739 0.750 0.625
S 0.750 0.239 0.875
S 0.750 0.261 0.375
S 0.761 0.750 0.125